# 1
Entry from the Materials Project: a relaxed structure of NaOsSe2 (PBE).

Cell lengths 4.681, 4.681, 4.681 Å; angles 60.00, 60.00, 60.00 degrees
Fractional positions:
Na: 0.000 0.000 0.000
Os: 0.250 0.250 0.250
Se: 0.500 0.500 0.500
Se: 0.750 0.750 0.750

Results
- calculated formation energy (eV per atom) = 0.720
- total moment (μB/atom) = 0.033
- symmetry = No. 216
- E (Ha/atom) = -0.144

---

# 2
Entry from the Materials Project: a relaxed structure of NaP15 (PBE).

Cell lengths 7.160, 9.241, 11.843 Å; angles 92.13, 99.51, 108.18 degrees
Fractional positions:
Na: 0.212 0.210 0.000
Na: 0.788 0.790 0.000
P: 0.012 0.339 0.402
P: 0.015 0.441 0.831
P: 0.023 0.900 0.662
P: 0.109 0.911 0.848
P: 0.112 0.758 0.299
P: 0.207 0.595 0.729
P: 0.257 0.484 0.174
P: 0.292 0.865 0.171
P: 0.308 0.988 0.595
P: 0.309 0.455 0.362
P: 0.337 0.688 0.431
P: 0.342 0.806 0.851
P: 0.381 0.237 0.636
P: 0.472 0.080 0.275
P: 0.492 0.719 0.175
P: 0.508 0.281 0.825
P: 0.528 0.920 0.725
P: 0.619 0.763 0.364
P: 0.658 0.194 0.149
P: 0.663 0.312 0.569
P: 0.691 0.545 0.638
P: 0.692 0.012 0.405
P: 0.708 0.135 0.829
P: 0.743 0.516 0.826
P: 0.793 0.405 0.271
P: 0.888 0.242 0.701
P: 0.891 0.089 0.152
P: 0.977 0.100 0.338
P: 0.985 0.559 0.169
P: 0.988 0.661 0.598

Results
- calculated formation energy (eV per atom) = -0.072
- symmetry = No. 2
- E (Ha/atom) = -0.192

---

# 3
Entry from the Materials Project: a relaxed structure of NaP (PBE).

Cell lengths 5.670, 6.064, 10.158 Å; angles 90.00, 90.00, 90.00 degrees
Fractional positions:
Na: 0.116 0.115 0.418
Na: 0.155 0.336 0.784
Na: 0.345 0.664 0.284
Na: 0.384 0.885 0.918
Na: 0.616 0.385 0.582
Na: 0.655 0.164 0.216
Na: 0.845 0.836 0.716
Na: 0.884 0.615 0.082
P: 0.113 0.558 0.535
P: 0.153 0.179 0.116
P: 0.347 0.821 0.616
P: 0.387 0.442 0.035
P: 0.613 0.942 0.465
P: 0.653 0.321 0.884
P: 0.847 0.679 0.384
P: 0.887 0.058 0.965

Results
- calculated formation energy (eV per atom) = -0.381
- largest piezoelectric modulus (C/m2) = 0.35
- symmetry = No. 19
- E (Ha/atom) = -0.138